Material: ZnRh
Method: DFT, PBE
State: relaxed

Properties
As for the formation energy: -0.38 eV/atom. As for the space group: Pm-3m (221).

```
ZnRh
1.0
3.030 0.000 0.000
0.000 3.030 0.000
0.000 0.000 3.030
Zn Rh
1 1
Direct
0.000 0.000 0.000 Zn
0.500 0.500 0.500 Rh
```

Material: MgHg
Method: DFT, PBE
State: relaxed

Properties
As for the formation energy: -0.22 eV/atom. As for the space group: Pm-3m (221).

```
MgHg
1.0
3.500 0.000 0.000
0.000 3.500 0.000
0.000 0.000 3.500
Mg Hg
1 1
Direct
0.000 0.000 0.000 Mg
0.500 0.500 0.500 Hg
```

Material: CaCeEuGeO6
Method: DFT, PBE
State: relaxed

Properties
As for the formation energy: -3.02 eV/atom. As for the space group: F-43m (216).

```
CaCeEuGeO6
1.0
0.000 4.150 4.150
4.150 0.000 4.150
4.150 4.150 0.000
Ca Ce Eu Ge O
1 1 1 1 6
Direct
0.000 0.000 0.000 Ca
0.750 0.750 0.750 Ce
0.500 0.500 0.500 Eu
0.250 0.250 0.250 Ge
0.021 0.021 0.479 O
0.021 0.479 0.021 O
0.021 0.479 0.479 O
0.479 0.021 0.021 O
0.479 0.021 0.479 O
0.479 0.479 0.021 O
```

Material: DyMg2Mo3S8
Method: DFT, PBE
State: relaxed

Properties
As for the formation energy: -1.18 eV/atom. As for the space group: R-3m (166).

```
DyMg2Mo3S8
1.0
3.793 2.190 6.069
-3.793 2.190 6.069
0.000 -4.379 6.069
Dy Mg Mo S
1 2 3 8
Direct
0.000 0.000 0.000 Dy
0.376 0.376 0.376 Mg
0.624 0.624 0.624 Mg
0.000 0.000 0.500 Mo
0.000 0.500 0.000 Mo
0.500 0.000 0.000 Mo
0.225 0.747 0.747 S
0.239 0.239 0.239 S
0.253 0.253 0.775 S
0.253 0.775 0.253 S
0.747 0.225 0.747 S
0.747 0.747 0.225 S
0.761 0.761 0.761 S
0.775 0.253 0.253 S
```

Material: Zr2N2O
Method: DFT, PBE
State: relaxed

Properties
As for the formation energy: -2.19 eV/atom. As for the space group: P1 (1).

```
Zr2N2O
1.0
8.867 0.000 0.000
-2.939 8.375 0.000
-2.943 -4.198 7.248
Zr N O
16 16 8
Direct
0.000 0.000 0.000 Zr
0.009 0.502 0.500 Zr
0.050 0.727 0.255 Zr
0.216 0.184 0.474 Zr
0.245 0.468 0.207 Zr
0.267 0.978 0.721 Zr
0.303 0.761 0.977 Zr
0.479 0.230 0.187 Zr
0.497 0.430 0.932 Zr
0.501 0.941 0.431 Zr
0.533 0.711 0.755 Zr
0.719 0.679 0.468 Zr
0.745 0.468 0.709 Zr
0.758 0.973 0.221 Zr
0.792 0.260 0.968 Zr
0.969 0.224 0.686 Zr
0.015 0.463 0.253 N
0.029 0.230 0.949 N
0.220 0.208 0.732 N
0.241 0.694 0.170 N
0.286 0.731 0.705 N
0.298 0.978 0.492 N
0.482 0.436 0.670 N
0.495 0.485 0.189 N
0.520 0.702 0.993 N
0.528 0.016 0.232 N
0.529 0.195 0.957 N
0.713 0.200 0.685 N
0.725 0.428 0.449 N
0.801 0.746 0.754 N
0.980 0.923 0.203 N
0.991 0.243 0.449 N
0.030 0.506 0.769 O
0.211 0.963 0.950 O
0.268 0.243 0.264 O
0.487 0.714 0.492 O
0.745 0.008 0.985 O
0.767 0.934 0.456 O
0.789 0.515 0.990 O
0.979 0.749 0.481 O
```

Material: TbPrO4
Method: DFT, PBE
State: relaxed

Properties
As for the formation energy: -3.12 eV/atom. As for the space group: P2_1/c (14).

```
TbPrO4
1.0
7.995 0.000 0.000
0.000 5.551 0.000
-0.626 0.000 7.938
Tb Pr O
4 4 16
Direct
0.126 0.248 0.112 Tb
0.126 0.252 0.612 Tb
0.874 0.748 0.388 Tb
0.874 0.752 0.888 Tb
0.376 0.748 0.366 Pr
0.376 0.752 0.866 Pr
0.624 0.248 0.134 Pr
0.624 0.252 0.634 Pr
0.104 0.012 0.857 O
0.104 0.488 0.357 O
0.112 0.001 0.363 O
0.112 0.499 0.863 O
0.363 0.005 0.115 O
0.363 0.495 0.615 O
0.365 0.010 0.616 O
0.365 0.490 0.116 O
0.635 0.510 0.884 O
0.635 0.990 0.384 O
0.637 0.505 0.385 O
0.637 0.995 0.885 O
0.888 0.501 0.137 O
0.888 0.999 0.637 O
0.896 0.512 0.643 O
0.896 0.988 0.143 O
```

Material: Pr2Sn3Pb3S12
Method: DFT, PBE
State: relaxed

Properties
As for the formation energy: -1.14 eV/atom. As for the space group: Pmc2_1 (26).

```
Pr2Sn3Pb3S12
1.0
4.004 0.000 0.000
0.000 20.621 0.000
0.000 0.000 11.752
Pr Sn Pb S
4 6 6 24
Direct
0.000 0.088 0.000 Pr
0.000 0.395 0.673 Pr
0.000 0.605 0.173 Pr
0.000 0.912 0.500 Pr
0.500 0.077 0.343 Sn
0.500 0.250 0.849 Sn
0.500 0.411 0.366 Sn
0.500 0.589 0.866 Sn
0.500 0.750 0.349 Sn
0.500 0.923 0.843 Sn
0.000 0.123 0.618 Pb
0.000 0.243 0.252 Pb
0.000 0.412 0.046 Pb
0.000 0.588 0.546 Pb
0.000 0.757 0.752 Pb
0.000 0.877 0.118 Pb
0.000 0.013 0.283 S
0.000 0.243 0.993 S
0.000 0.256 0.700 S
0.000 0.341 0.445 S
0.000 0.481 0.289 S
0.000 0.519 0.789 S
0.000 0.659 0.945 S
0.000 0.744 0.200 S
0.000 0.757 0.493 S
0.000 0.987 0.783 S
0.500 0.014 0.532 S
0.500 0.127 0.829 S
0.500 0.143 0.158 S
0.500 0.178 0.450 S
0.500 0.343 0.186 S
0.500 0.375 0.846 S
0.500 0.472 0.557 S
0.500 0.528 0.057 S
0.500 0.625 0.346 S
0.500 0.657 0.686 S
0.500 0.822 0.950 S
0.500 0.857 0.658 S
0.500 0.873 0.329 S
0.500 0.986 0.032 S
```

Material: SO3
Method: DFT, PBE
State: relaxed

Properties
As for the formation energy: -1.57 eV/atom. As for the space group: P2_1/c (14).

```
SO3
1.0
6.481 0.000 0.000
0.000 4.179 0.000
-3.345 0.000 9.155
S O
4 12
Direct
0.171 0.025 0.292 S
0.171 0.475 0.792 S
0.829 0.525 0.208 S
0.829 0.975 0.708 S
0.004 0.226 0.674 O
0.004 0.274 0.174 O
0.270 0.181 0.428 O
0.270 0.319 0.928 O
0.282 0.631 0.709 O
0.282 0.869 0.209 O
0.718 0.131 0.791 O
0.718 0.369 0.291 O
0.730 0.681 0.072 O
0.730 0.819 0.572 O
0.996 0.726 0.826 O
0.996 0.774 0.326 O
```

Material: RbCaI3
Method: DFT, PBE
State: relaxed

Properties
As for the formation energy: -1.77 eV/atom. As for the space group: Cm (8).

```
RbCaI3
1.0
4.393 -4.389 0.000
4.393 4.389 0.000
-0.006 0.000 6.208
Rb Ca I
1 1 3
Direct
0.000 0.000 0.000 Rb
0.505 0.505 0.482 Ca
0.001 0.503 0.486 I
0.491 0.491 0.983 I
0.503 0.001 0.486 I
```

Material: Er3B5O12
Method: DFT, PBE
State: relaxed

Properties
As for the formation energy: -3.37 eV/atom. As for the space group: Pmna (53).

```
Er3B5O12
1.0
12.885 0.000 0.000
0.000 4.639 0.000
0.000 0.000 12.573
Er B O
12 20 48
Direct
0.132 0.000 0.000 Er
0.135 0.001 0.307 Er
0.135 0.999 0.693 Er
0.365 0.001 0.193 Er
0.365 0.999 0.807 Er
0.368 0.000 0.500 Er
0.632 0.000 0.500 Er
0.635 0.001 0.193 Er
0.635 0.999 0.807 Er
0.865 0.001 0.307 Er
0.865 0.999 0.693 Er
0.868 0.000 0.000 Er
0.000 0.457 0.375 B
0.000 0.460 0.151 B
0.000 0.540 0.849 B
0.000 0.543 0.625 B
0.162 0.500 0.500 B
0.202 0.471 0.849 B
0.202 0.529 0.151 B
0.298 0.471 0.651 B
0.298 0.529 0.349 B
0.338 0.500 0.000 B
0.500 0.457 0.125 B
0.500 0.460 0.349 B
0.500 0.540 0.651 B
0.500 0.543 0.875 B
0.662 0.500 0.000 B
0.702 0.471 0.651 B
0.702 0.529 0.349 B
0.798 0.471 0.849 B
0.798 0.529 0.151 B
0.838 0.500 0.500 B
0.000 0.240 0.072 O
0.000 0.242 0.639 O
0.000 0.304 0.263 O
0.000 0.696 0.737 O
0.000 0.758 0.361 O
0.000 0.760 0.928 O
0.095 0.344 0.854 O
0.095 0.656 0.146 O
0.096 0.335 0.427 O
0.096 0.665 0.573 O
0.204 0.221 0.152 O
0.204 0.779 0.848 O
0.234 0.312 0.565 O
0.234 0.688 0.435 O
0.250 0.343 0.750 O
0.250 0.657 0.250 O
0.266 0.312 0.935 O
0.266 0.688 0.065 O
0.296 0.221 0.348 O
0.296 0.779 0.652 O
0.404 0.335 0.073 O
0.404 0.665 0.927 O
0.405 0.344 0.646 O
0.405 0.656 0.354 O
0.500 0.240 0.428 O
0.500 0.242 0.861 O
0.500 0.304 0.237 O
0.500 0.696 0.763 O
0.500 0.758 0.139 O
0.500 0.760 0.572 O
0.595 0.344 0.646 O
0.595 0.656 0.354 O
0.596 0.335 0.073 O
0.596 0.665 0.927 O
0.704 0.221 0.348 O
0.704 0.779 0.652 O
0.734 0.312 0.935 O
0.734 0.688 0.065 O
0.750 0.343 0.750 O
0.750 0.657 0.250 O
0.766 0.312 0.565 O
0.766 0.688 0.435 O
0.796 0.221 0.152 O
0.796 0.779 0.848 O
0.904 0.335 0.427 O
0.904 0.665 0.573 O
0.905 0.344 0.854 O
0.905 0.656 0.146 O
```

Material: MgBr2
Method: DFT, PBE
State: relaxed

Properties
As for the formation energy: -1.86 eV/atom. As for the space group: P-3m1 (164).

```
MgBr2
1.0
3.885 0.000 0.000
-1.942 3.364 0.000
0.000 0.000 7.026
Mg Br
1 2
Direct
0.000 0.000 0.000 Mg
0.333 0.667 0.785 Br
0.667 0.333 0.215 Br
```

Material: Na2Ta3InSi4S2O24
Method: DFT, PBE
State: relaxed

Properties
As for the formation energy: -2.79 eV/atom. As for the space group: P1 (1).

```
Na2Ta3InSi4S2O24
1.0
8.866 0.000 0.000
-4.433 7.729 0.000
-0.208 -0.125 22.966
Na Ta In Si S O
6 9 3 12 6 72
Direct
0.000 0.000 0.000 Na
0.021 0.002 0.492 Na
0.326 0.657 0.668 Na
0.352 0.676 0.167 Na
0.662 0.331 0.329 Na
0.709 0.348 0.836 Na
0.012 0.029 0.145 Ta
0.026 0.028 0.646 Ta
0.335 0.681 0.817 Ta
0.351 0.689 0.521 Ta
0.351 0.699 0.028 Ta
0.370 0.698 0.310 Ta
0.670 0.362 0.479 Ta
0.675 0.347 0.187 Ta
0.688 0.350 0.982 Ta
0.024 0.024 0.356 In
0.702 0.368 0.685 In
0.999 0.017 0.862 In
0.013 0.307 0.755 Si
0.055 0.685 0.921 Si
0.306 0.308 0.254 Si
0.354 0.976 0.418 Si
0.391 0.071 0.084 Si
0.396 0.358 0.588 Si
0.630 0.975 0.921 Si
0.642 0.694 0.419 Si
0.686 0.638 0.084 Si
0.737 0.030 0.254 Si
0.972 0.358 0.087 Si
0.976 0.645 0.586 Si
0.015 0.724 0.251 S
0.059 0.405 0.420 S
0.304 0.014 0.753 S
0.357 0.409 0.920 S
0.683 0.058 0.585 S
0.720 0.730 0.752 S
0.005 0.205 0.812 O
0.031 0.203 0.696 O
0.042 0.834 0.200 O
0.047 0.236 0.422 O
0.058 0.865 0.916 O
0.138 0.505 0.367 O
0.149 0.655 0.861 O
0.162 0.498 0.474 O
0.165 0.522 0.079 O
0.172 0.690 0.977 O
0.174 0.705 0.257 O
0.175 0.689 0.572 O
0.181 0.204 0.197 O
0.189 0.003 0.419 O
0.192 0.990 0.698 O
0.197 0.501 0.758 O
0.199 0.044 0.094 O
0.200 0.180 0.594 O
0.206 0.236 0.917 O
0.222 0.031 0.805 O
0.247 0.198 0.313 O
0.311 0.497 0.261 O
0.313 0.848 0.755 O
0.342 0.496 0.972 O
0.343 0.860 0.475 O
0.361 0.518 0.576 O
0.365 0.871 0.361 O
0.369 0.510 0.865 O
0.376 0.880 0.079 O
0.477 0.160 0.745 O
0.483 0.188 0.026 O
0.486 0.323 0.530 O
0.503 0.386 0.646 O
0.507 0.353 0.241 O
0.512 0.158 0.141 O
0.514 0.658 0.075 O
0.515 0.869 0.861 O
0.521 0.404 0.921 O
0.523 0.665 0.360 O
0.526 0.857 0.976 O
0.530 0.691 0.475 O
0.535 0.878 0.577 O
0.537 0.853 0.258 O
0.540 0.161 0.428 O
0.549 0.728 0.755 O
0.632 0.160 0.923 O
0.646 0.122 0.639 O
0.649 0.510 0.425 O
0.656 0.519 0.141 O
0.685 0.551 0.748 O
0.704 0.193 0.243 O
0.712 0.167 0.534 O
0.712 0.545 0.027 O
0.812 0.835 0.699 O
0.821 0.998 0.924 O
0.823 0.804 0.806 O
0.825 0.993 0.197 O
0.828 0.862 0.419 O
0.839 0.059 0.314 O
0.841 0.036 0.592 O
0.845 0.333 0.750 O
0.846 0.540 0.530 O
0.851 0.323 0.027 O
0.857 0.828 0.095 O
0.864 0.510 0.924 O
0.865 0.547 0.243 O
0.880 0.385 0.143 O
0.884 0.389 0.427 O
0.926 0.535 0.644 O
0.982 0.789 0.306 O
0.983 0.833 0.595 O
0.985 0.182 0.093 O
```